Here is an optimized crystal structure of Na2VO3 from the Materials Project database. Energies are from PBE with a Hubbard U.

Results
Theoretical density: 3554 kg/m³
Size of the total moment: 1.0 μB per formula unit
Corrected total energy (MP2020 scheme): -160.08 eV per cell
Formation enthalpy at 0 K: -216.2 kJ per mole of atoms
Final energy: -145.035 eV for the cell shown

Lattice parameters (Å, degrees): 5.304 9.423 5.690 90.00 107.76 90.00
Space group C2/m (No. 12)
Inequivalent atoms, fractional coordinates:
Na 0.000 0.000 0.000
Na 0.000 0.159 0.500
Na 0.000 0.500 0.500
V 0.000 0.339 0.000
O 0.196 0.500 0.204
O 0.226 0.315 0.799

***

Here is an optimized crystal structure of Ba2AlTlCr2O7 from the Materials Project database. Energies are from PBE with a Hubbard U.

Results
Theoretical density: 6147 kg/m³
Size of the total moment: 6.2 μB per formula unit
Corrected total energy (MP2020 scheme): -92.92 eV per cell
Formation enthalpy at 0 K: -215.5 kJ per mole of atoms
Final energy: -84.118 eV for the cell shown

Lattice parameters (Å, degrees): 3.832 3.832 13.284 90.00 90.00 90.00
Space group P4/mmm (No. 123)
Inequivalent atoms, fractional coordinates:
Ba 0.000 0.000 0.198
Al 0.000 0.000 0.500
Tl 0.500 0.500 0.000
Cr 0.500 0.500 0.371
O 0.000 0.000 0.000
O 0.000 0.500 0.406
O 0.500 0.500 0.225

***

- Among the records above, which one has the lowest formation enthalpy at 0 K?
  Na2VO3